(1)
Here is Ce4Co2Sn5 after structural relaxation from the Materials Project database. Energies are from GGA-PBE.

Geometry as CIF:
```
data_Ce4Co2Sn5
_chemical_formula_sum 'Ce8 Co4 Sn10'
_space_group_name_H-M_alt 'C 1 2/m 1'
_space_group_IT_number 12
_space_group_name_Hall '-C 2y'
_cell_length_a 14.066
_cell_length_b 4.426
_cell_length_c 10.995
_cell_angle_alpha 90.00
_cell_angle_beta 128.10
_cell_angle_gamma 90.00
loop_
_atom_site_label
_atom_site_fract_x
_atom_site_fract_y
_atom_site_fract_z
Ce1 0.068 0.000 0.222
Ce2 0.166 0.500 0.781
Co1 0.235 0.000 0.651
Sn1 0.000 0.000 0.500
Sn2 0.125 0.500 0.047
Sn3 0.150 0.500 0.475
```

(2)
Here is Ce2TiCo16 after structural relaxation from the Materials Project database. Energies are from GGA-PBE.

Spin magnetization, μB/f.u.: 18.6

Geometry as CIF:
```
data_Ce2TiCo16
_chemical_formula_sum 'Ce4 Ti2 Co32'
_space_group_name_H-M_alt 'P -3 m 1'
_space_group_IT_number 164
_space_group_name_Hall '-P 3 2"'
_cell_length_a 8.3231
_cell_length_b 8.3231
_cell_length_c 8.1774
_cell_angle_alpha 90.00
_cell_angle_beta 90.00
_cell_angle_gamma 120.00
loop_
_atom_site_label
_atom_site_fract_x
_atom_site_fract_y
_atom_site_fract_z
Ce1 0.0000 0.0000 0.2492
Ce2 0.3333 0.6667 0.2647
Ti1 0.3333 0.6667 0.8861
Co1 0.0000 0.5000 0.0000
Co2 0.0000 0.5000 0.5000
Co3 0.0417 0.3694 0.7500
Co4 0.1666 0.3331 0.0245
Co5 0.1668 0.3336 0.4832
Co6 0.3333 0.6667 0.6030
```

(3)
Here is CeYCo17 after structural relaxation from the Materials Project database. Energies are from GGA-PBE.

Geometry as CIF:
```
data_CeYCo17
_chemical_formula_sum 'Ce3 Y3 Co51'
_space_group_name_H-M_alt 'R 3 m'
_space_group_IT_number 160
_space_group_name_Hall 'R 3 -2"'
_cell_length_a 8.3215
_cell_length_b 8.3215
_cell_length_c 12.1320
_cell_angle_alpha 90.00
_cell_angle_beta 90.00
_cell_angle_gamma 120.00
loop_
_atom_site_label
_atom_site_fract_x
_atom_site_fract_y
_atom_site_fract_z
Ce1 0.0000 0.0000 0.0000
Y1 0.0000 0.0000 0.6905
Co1 0.0000 0.0000 0.2488
Co2 0.0000 0.0000 0.4444
Co3 0.0012 0.5006 0.1947
Co4 0.0466 0.3789 0.0140
Co5 0.1681 0.3362 0.1820
Co6 0.1702 0.3404 0.8306
```

(4)
Here is CeZn2Co after structural relaxation from the Materials Project database. Energies are from GGA-PBE.

Spin magnetization, μB/f.u.: 0.0

Geometry as CIF:
```
data_CeZn2Co
_chemical_formula_sum 'Ce4 Zn8 Co4'
_space_group_name_H-M_alt 'C m c m'
_space_group_IT_number 63
_space_group_name_Hall '-C 2c 2'
_cell_length_a 5.048
_cell_length_b 12.405
_cell_length_c 4.403
_cell_angle_alpha 90.00
_cell_angle_beta 90.00
_cell_angle_gamma 90.00
loop_
_atom_site_label
_atom_site_fract_x
_atom_site_fract_y
_atom_site_fract_z
Ce1 0.000 0.200 0.250
Zn1 0.244 0.443 0.250
Co1 0.000 0.364 0.750
```

(5)
Here is Ce2ZrCo16 after structural relaxation from the Materials Project database. Energies are from GGA-PBE.

Spin magnetization, μB/f.u.: 19.1

Geometry as CIF:
```
data_Ce2ZrCo16
_chemical_formula_sum 'Ce4 Zr2 Co32'
_space_group_name_H-M_alt 'P -3 m 1'
_space_group_IT_number 164
_space_group_name_Hall '-P 3 2"'
_cell_length_a 8.3758
_cell_length_b 8.3758
_cell_length_c 8.2631
_cell_angle_alpha 90.00
_cell_angle_beta 90.00
_cell_angle_gamma 120.00
loop_
_atom_site_label
_atom_site_fract_x
_atom_site_fract_y
_atom_site_fract_z
Ce1 0.0000 0.0000 0.2493
Ce2 0.3333 0.6667 0.2659
Zr1 0.3333 0.6667 0.8814
Co1 0.0000 0.5000 0.0000
Co2 0.0000 0.5000 0.5000
Co3 0.0314 0.3586 0.7489
Co4 0.1631 0.3261 0.0229
Co5 0.1667 0.3333 0.4884
Co6 0.3333 0.6667 0.5873
```

(6)
Here is Ce4ZrCo25 after structural relaxation from the Materials Project database. Energies are from GGA-PBE.

Spin magnetization, μB/f.u.: 29.3

Geometry as CIF:
```
data_Ce4ZrCo25
_chemical_formula_sum 'Ce4 Zr1 Co25'
_space_group_name_H-M_alt 'P 1 m 1'
_space_group_IT_number 6
_space_group_name_Hall 'P -2y'
_cell_length_a 4.854
_cell_length_b 4.006
_cell_length_c 21.195
_cell_angle_alpha 90.00
_cell_angle_beta 96.43
_cell_angle_gamma 90.00
loop_
_atom_site_label
_atom_site_fract_x
_atom_site_fract_y
_atom_site_fract_z
Ce1 0.000 0.000 0.000
Ce2 0.198 0.000 0.397
Ce3 0.399 0.000 0.799
Ce4 0.800 0.000 0.599
Zr1 0.599 0.000 0.198
Co1 0.067 0.000 0.133
Co2 0.099 0.500 0.198
Co3 0.099 0.500 0.699
Co4 0.131 0.000 0.264
Co5 0.200 0.500 0.899
Co6 0.264 0.000 0.531
Co7 0.300 0.500 0.599
Co8 0.312 0.500 0.104
Co9 0.333 0.000 0.666
Co10 0.407 0.500 0.293
Co11 0.465 0.000 0.932
Co12 0.500 0.500 0.000
Co13 0.500 0.500 0.498
Co14 0.534 0.000 0.068
Co15 0.599 0.500 0.699
Co16 0.665 0.000 0.329
Co17 0.698 0.500 0.397
Co18 0.699 0.500 0.899
Co19 0.733 0.000 0.465
Co20 0.791 0.500 0.104
Co21 0.865 0.000 0.732
Co22 0.886 0.500 0.293
Co23 0.899 0.500 0.799
Co24 0.933 0.000 0.865
Co25 0.998 0.500 0.498
```

Number 1: calculated total energy -5.785 eV/atom. Number 2: calculated total energy -7.161 eV/atom. Number 3: calculated total energy -7.103 eV/atom. Number 4: calculated total energy -4.127 eV/atom. Number 5: calculated total energy -7.167 eV/atom. Number 6: calculated total energy -7.108 eV/atom.